(1)
Density functional theory data (PBE) for crystalline Be3Co at its relaxed geometry.

a = 4.5945 Å, b = 4.5945 Å, c = 3.6309 Å
α = 90.00°, β = 90.00°, γ = 120.00°
Sites, in units of the cell vectors:
1 Be 0.1660 0.3320 0.2500
2 Be 0.1660 0.8340 0.2500
3 Be 0.3320 0.1660 0.7500
4 Be 0.6680 0.8340 0.2500
5 Be 0.8340 0.1660 0.7500
6 Be 0.8340 0.6680 0.7500
7 Co 0.3333 0.6667 0.7500
8 Co 0.6667 0.3333 0.2500

Computed properties:
formation enthalpy at 0 K: -0.257 eV per atom
calculated total energy: -4.839 eV/atom

***

(2)
Density functional theory data (PBE) for crystalline BaPr2FeS5 at its relaxed geometry.

a = 8.7946 Å, b = 8.7946 Å, c = 8.7946 Å
α = 126.29°, β = 126.29°, γ = 79.41°
Sites, in units of the cell vectors:
1 Ba 0.2500 0.2500 0.0000
2 Ba 0.7500 0.7500 0.0000
3 Pr 0.1619 0.6619 0.8238
4 Pr 0.3381 0.1619 0.5000
5 Pr 0.6619 0.8381 0.5000
6 Pr 0.8381 0.3381 0.1762
7 Fe 0.2500 0.7500 0.5000
8 Fe 0.7500 0.2500 0.5000
9 S 0.0000 0.0000 0.0000
10 S 0.0115 0.2160 0.5000
11 S 0.2160 0.7160 0.2046
12 S 0.2840 0.4885 0.5000
13 S 0.4885 0.9885 0.2046
14 S 0.5000 0.5000 0.0000
15 S 0.5115 0.0115 0.7954
16 S 0.7160 0.5115 0.5000
17 S 0.7840 0.2840 0.7954
18 S 0.9885 0.7840 0.5000

Computed properties:
formation enthalpy at 0 K: -1.964 eV per atom
total moment: 4.00 μB/f.u.
calculated total energy: -6.200 eV/atom